VASP calculation (PBE-GGA) on a relaxed structure of Dy11Y5O24.

Cell: 9.2572 9.2572 9.2567 Å, 109.46 109.47 109.48°
Closest atoms and distances in Å follow each position.
Positions (direct):
Y: 0.2176 0.2500 0.9675  6 O 2.27-2.35
Y: 0.7173 0.2500 0.4672  6 O 2.27-2.35
Y: 0.0001 0.5002 0.0001  6 O 2.30-2.31
Y: 0.5325 0.2825 0.7500  6 O 2.27-2.35
Y: 0.9675 0.2174 0.2501  6 O 2.27-2.35
O: 0.7281 0.9576 0.9888  3 Dy 2.27-2.30, 1 Y 2.35
O: 0.7387 0.2706 0.2279  2 Dy 2.27-2.30, 2 Y 2.29-2.35
O: 0.2605 0.7295 0.7715  4 Dy 2.27-2.35
O: 0.2289 0.7398 0.2709  3 Dy 2.27-2.35, 1 Y 2.30
O: 0.7714 0.2601 0.7295  3 Y 2.27-2.35, 1 Dy 2.28
O: 0.0312 0.7607 0.4891  4 Dy 2.27-2.35
O: 0.5420 0.7705 0.5311  4 Dy 2.27-2.35
O: 0.7707 0.5319 0.5424  3 Dy 2.27-2.35, 1 Y 2.29
O: 0.7296 0.7717 0.2607  4 Dy 2.27-2.35
O: 0.4693 0.4584 0.2300  1 Y 2.27, 3 Dy 2.28-2.35
O: 0.2399 0.5113 0.9690  2 Dy 2.27-2.28, 2 Y 2.31-2.35
O: 0.7608 0.4896 0.0318  2 Dy 2.27-2.35, 2 Y 2.29-2.30
O: 0.9890 0.7289 0.9580  3 Dy 2.27-2.35, 1 Y 2.30
O: 0.2702 0.2282 0.7387  2 Y 2.27-2.29, 2 Dy 2.30-2.35
O: 0.5312 0.5424 0.7705  3 Dy 2.27-2.30, 1 Y 2.35
O: 0.9577 0.9887 0.7281  3 Dy 2.27-2.30, 1 Y 2.35
O: 0.9693 0.2394 0.5113  2 Y 2.27-2.35, 2 Dy 2.28-2.30
O: 0.5105 0.9682 0.2387  3 Dy 2.27-2.35, 1 Y 2.29
O: 0.0105 0.2712 0.0419  3 Y 2.27-2.30, 1 Dy 2.35
O: 0.4574 0.2295 0.4681  2 Dy 2.27-2.30, 2 Y 2.29-2.35
O: 0.2717 0.0416 0.0109  1 Y 2.27, 3 Dy 2.28-2.35
O: 0.4890 0.0306 0.7606  1 Y 2.27, 3 Dy 2.28-2.35
O: 0.0422 0.0103 0.2716  3 Dy 2.27-2.35, 1 Y 2.29
O: 0.2300 0.4694 0.4584  1 Y 2.27, 3 Dy 2.28-2.35
Dy: 0.4675 0.7174 0.2501  6 O 2.27-2.35
Dy: 0.7501 0.5330 0.2829  6 O 2.27-2.35
Dy: 0.4999 0.9997 0.0000  6 O 2.30
Dy: 0.2827 0.7500 0.5327  6 O 2.27-2.35
Dy: 0.0327 0.7827 0.7500  6 O 2.27-2.35
Dy: 0.2502 0.4676 0.7174  6 O 2.27-2.35
Dy: 0.2499 0.9672 0.2172  6 O 2.27-2.35
Dy: 0.5002 0.5003 0.5002  6 O 2.30
Dy: 0.7499 0.0323 0.7825  6 O 2.27-2.35
Dy: 0.7827 0.7500 0.0328  6 O 2.27-2.35
Dy: 0.0000 0.9998 0.4999  6 O 2.30

Calculated values
- Raw total energy: -8.63 eV/atom
- Total energy after the MP2020 corrections: -9.04 eV/atom
- Polymorph energy (0 for the lowest one): 0 meV/atom
- Energy of formation: -3997.2 meV/atom